No. 1
The following is a DFT calculation (PBE-GGA) of TePb5O8 after structural relaxation.

Calculated values
The calculation puts the mass density at 8.48 g/cm³. Its formation energy is -1.54 eV per atom.

Unit cell a=12.271 b=7.599 c=13.161 alpha=55.53 beta=90.00 gamma=90.00
Atoms (fractional coordinates):
O1 0.075 0.174 0.970
O2 0.347 0.023 0.322
O3 0.119 0.628 0.849
O4 0.045 0.065 0.253
O5 0.653 0.977 0.678
O6 0.545 0.935 0.247
O7 0.576 0.154 0.899
O8 0.924 0.154 0.399
O9 0.269 0.937 0.675
O10 0.950 0.419 0.717
O11 0.381 0.628 0.349
O12 0.550 0.419 0.217
O13 0.455 0.065 0.753
O14 0.450 0.581 0.783
O15 0.575 0.826 0.530
O16 0.731 0.063 0.325
O17 0.955 0.935 0.747
O18 0.925 0.826 0.030
O19 0.408 0.230 0.075
O20 0.153 0.023 0.822
O21 0.619 0.372 0.651
O22 0.592 0.770 0.925
O23 0.425 0.174 0.470
O24 0.231 0.937 0.175
O25 0.769 0.063 0.825
O26 0.076 0.846 0.601
O27 0.092 0.230 0.575
O28 0.050 0.581 0.283
O29 0.424 0.846 0.101
O30 0.881 0.372 0.151
O31 0.847 0.977 0.178
O32 0.908 0.770 0.425
Pb1 0.872 0.588 0.242
Pb2 0.620 0.274 0.123
Pb3 0.628 0.588 0.742
Pb4 0.380 0.824 0.545
Pb5 0.372 0.412 0.258
Pb6 0.845 0.715 0.920
Pb7 0.120 0.726 0.377
Pb8 0.380 0.726 0.877
Pb9 0.128 0.412 0.758
Pb10 0.880 0.176 0.955
Pb11 0.393 0.215 0.900
Pb12 0.880 0.274 0.623
Pb13 0.120 0.824 0.045
Pb14 0.893 0.785 0.600
Pb15 0.607 0.785 0.100
Pb16 0.655 0.715 0.420
Pb17 0.620 0.176 0.455
Pb18 0.107 0.215 0.400
Pb19 0.155 0.285 0.080
Pb20 0.345 0.285 0.580
Te1 0.114 0.928 0.718
Te2 0.886 0.072 0.282
Te3 0.386 0.928 0.218
Te4 0.614 0.072 0.782

No. 2
The following is a DFT calculation (PBE-GGA) of BaMg6CdO8 after structural relaxation.

Calculated values
The calculation puts the mass density at 4.30 g/cm³. Its formation energy is -2.40 eV per atom. For the energy relative to the lowest polymorph listed for this composition, the calculation gives 78.7 meV per atom.

Unit cell a=9.112 b=4.713 c=4.713 alpha=90.00 beta=90.00 gamma=90.00
Atoms (fractional coordinates):
O1 0.500 0.000 0.500
O2 0.000 0.500 0.000
O3 0.732 0.000 0.000
O4 0.255 0.500 0.500
O5 0.745 0.500 0.500
O6 0.268 0.000 0.000
O7 0.000 0.000 0.500
O8 0.500 0.500 0.000
Mg1 0.735 0.500 0.000
Mg2 0.500 0.500 0.500
Mg3 0.735 0.000 0.500
Mg4 0.265 0.500 0.000
Mg5 0.000 0.500 0.500
Mg6 0.265 0.000 0.500
Ba1 0.000 0.000 0.000
Cd1 0.500 0.000 0.000

No. 3
The following is a DFT calculation (PBE-GGA) of CdC3S3N5 after structural relaxation.

Calculated values
The calculation puts the mass density at 1.96 g/cm³. Its formation energy is 0.05 eV per atom.

Unit cell a=7.352 b=11.317 c=12.835 alpha=90.00 beta=90.00 gamma=90.00
Atoms (fractional coordinates):
S1 0.812 0.355 0.172
S2 0.985 0.379 0.534
S3 0.312 0.145 0.828
S4 0.485 0.121 0.466
S5 0.688 0.645 0.672
S6 0.515 0.621 0.034
S7 0.359 0.518 0.305
S8 0.859 0.982 0.695
S9 0.015 0.879 0.966
S10 0.141 0.482 0.805
S11 0.188 0.855 0.328
S12 0.641 0.018 0.195
N1 0.853 0.541 0.387
N2 0.353 0.959 0.613
N3 0.836 0.225 0.740
N4 0.086 0.587 0.077
N5 0.336 0.275 0.260
N6 0.414 0.413 0.577
N7 0.513 0.378 0.636
N8 0.013 0.122 0.364
N9 0.987 0.622 0.136
N10 0.647 0.459 0.887
N11 0.487 0.878 0.864
N12 0.399 0.680 0.530
N13 0.899 0.820 0.470
N14 0.601 0.180 0.970
N15 0.164 0.725 0.760
N16 0.147 0.041 0.113
N17 0.101 0.320 0.030
N18 0.914 0.087 0.423
N19 0.664 0.775 0.240
N20 0.586 0.913 0.923
Cd1 0.188 0.924 0.758
Cd2 0.688 0.576 0.242
Cd3 0.812 0.424 0.742
Cd4 0.312 0.076 0.258
C1 0.591 0.527 0.949
C2 0.479 0.160 0.912
C3 0.021 0.840 0.412
C4 0.909 0.473 0.449
C5 0.350 0.377 0.277
C6 0.979 0.340 0.088
C7 0.521 0.660 0.588
C8 0.150 0.623 0.777
C9 0.091 0.973 0.051
C10 0.850 0.123 0.723
C11 0.650 0.877 0.223
C12 0.409 0.027 0.551

No. 4
The following is a DFT calculation (PBE-GGA) of Ca2CO3F2 after structural relaxation.

Calculated values
The calculation puts the mass density at 3.02 g/cm³. Its formation energy is -3.24 eV per atom.

Unit cell a=6.709 b=7.548 c=7.738 alpha=90.00 beta=90.00 gamma=90.00
Atoms (fractional coordinates):
F1 0.603 0.379 0.879
F2 0.103 0.121 0.621
F3 0.397 0.121 0.379
F4 0.603 0.879 0.621
F5 0.897 0.879 0.379
F6 0.897 0.379 0.121
F7 0.397 0.621 0.121
F8 0.103 0.621 0.879
O1 0.827 0.051 0.870
O2 0.173 0.949 0.130
O3 0.673 0.051 0.130
O4 0.750 0.794 0.000
O5 0.173 0.449 0.370
O6 0.250 0.206 0.000
O7 0.250 0.706 0.500
O8 0.327 0.949 0.870
O9 0.327 0.449 0.630
O10 0.673 0.551 0.370
O11 0.750 0.294 0.500
O12 0.827 0.551 0.630
Ca1 0.961 0.837 0.673
Ca2 0.539 0.837 0.327
Ca3 0.039 0.663 0.173
Ca4 0.961 0.337 0.827
Ca5 0.461 0.163 0.673
Ca6 0.039 0.163 0.327
Ca7 0.461 0.663 0.827
Ca8 0.539 0.337 0.173
C1 0.250 0.033 0.000
C2 0.250 0.533 0.500
C3 0.750 0.467 0.500
C4 0.750 0.967 0.000

No. 5
The following is a DFT calculation (PBE-GGA) of NiSe2 after structural relaxation.

Calculated values
The calculation puts the mass density at 6.88 g/cm³. Its formation energy is -0.54 eV per atom.

Unit cell a=5.936 b=5.936 c=5.936 alpha=90.00 beta=90.00 gamma=90.00
Atoms (fractional coordinates):
Se1 0.377 0.377 0.377
Se2 0.123 0.877 0.377
Se3 0.877 0.123 0.623
Se4 0.377 0.123 0.877
Se5 0.123 0.623 0.877
Se6 0.623 0.623 0.623
Se7 0.877 0.377 0.123
Se8 0.623 0.877 0.123
Ni1 0.000 0.000 0.000
Ni2 0.000 0.500 0.500
Ni3 0.500 0.000 0.500
Ni4 0.500 0.500 0.000

No. 6
The following is a DFT calculation (PBE-GGA) of ErIO9 after structural relaxation.

Calculated values
The calculation puts the mass density at 4.63 g/cm³. Its formation energy is -0.63 eV per atom.

Unit cell a=11.100 b=6.492 c=10.600 alpha=55.46 beta=90.00 gamma=90.00
Atoms (fractional coordinates):
O1 0.427 0.078 0.069
O2 0.717 0.727 0.384
O3 0.078 0.642 0.087
O4 0.443 0.766 0.353
O5 0.697 0.240 0.263
O6 0.729 0.471 0.195
O7 0.578 0.358 0.413
O8 0.565 0.482 0.849
O9 0.927 0.922 0.431
O10 0.771 0.471 0.695
O11 0.057 0.766 0.853
O12 0.441 0.285 0.265
O13 0.935 0.482 0.349
O14 0.762 0.048 0.593
O15 0.271 0.529 0.805
O16 0.065 0.518 0.651
O17 0.559 0.715 0.735
O18 0.803 0.240 0.763
O19 0.217 0.273 0.116
O20 0.738 0.048 0.093
O21 0.073 0.078 0.569
O22 0.435 0.518 0.151
O23 0.059 0.285 0.765
O24 0.557 0.234 0.647
O25 0.283 0.273 0.616
O26 0.238 0.952 0.407
O27 0.783 0.727 0.884
O28 0.943 0.234 0.147
O29 0.422 0.642 0.587
O30 0.922 0.358 0.913
O31 0.197 0.760 0.237
O32 0.262 0.952 0.907
O33 0.303 0.760 0.737
O34 0.941 0.715 0.235
O35 0.573 0.922 0.931
O36 0.229 0.529 0.305
I1 0.327 0.022 0.237
I2 0.827 0.978 0.263
I3 0.173 0.022 0.737
I4 0.673 0.978 0.763
Er1 0.917 0.771 0.693
Er2 0.417 0.229 0.807
Er3 0.083 0.229 0.307
Er4 0.583 0.771 0.193

No. 7
The following is a DFT calculation (PBE-GGA) of MgZn2 after structural relaxation.

Calculated values
The calculation puts the mass density at 5.08 g/cm³. Its formation energy is -0.13 eV per atom.

Unit cell a=5.234 b=5.234 c=5.234 alpha=60.00 beta=60.00 gamma=60.00
Atoms (fractional coordinates):
Zn1 0.125 0.125 0.625
Zn2 0.125 0.125 0.125
Zn3 0.625 0.125 0.125
Zn4 0.125 0.625 0.125
Mg1 0.500 0.500 0.500
Mg2 0.750 0.750 0.750

No. 8
The following is a DFT calculation (PBE-GGA) of Er3Ga2 after structural relaxation.

Calculated values
The calculation puts the mass density at 8.73 g/cm³. Its formation energy is -0.54 eV per atom.

Unit cell a=10.979 b=10.979 c=10.979 alpha=116.77 beta=116.77 gamma=95.70
Atoms (fractional coordinates):
Er1 0.668 0.168 0.837
Er2 0.431 0.701 0.865
Er3 0.067 0.336 0.135
Er4 0.832 0.668 0.500
Er5 0.701 0.836 0.270
Er6 0.168 0.332 0.500
Er7 0.567 0.431 0.730
Er8 0.069 0.933 0.270
Er9 0.648 0.148 0.500
Er10 0.299 0.164 0.730
Er11 0.352 0.852 0.500
Er12 0.201 0.931 0.865
Er13 0.336 0.201 0.270
Er14 0.836 0.567 0.135
Er15 0.931 0.067 0.730
Er16 0.332 0.832 0.163
Er17 0.852 0.352 0.500
Er18 0.664 0.799 0.730
Er19 0.433 0.569 0.270
Er20 0.148 0.648 0.500
Er21 0.164 0.433 0.865
Er22 0.799 0.069 0.135
Er23 0.569 0.299 0.135
Er24 0.933 0.664 0.865
Ga1 0.116 0.616 0.731
Ga2 0.976 0.120 0.500
Ga3 0.884 0.384 0.269
Ga4 0.120 0.620 0.145
Ga5 0.620 0.476 0.500
Ga6 0.880 0.380 0.855
Ga7 0.384 0.116 0.500
Ga8 0.380 0.524 0.500
Ga9 0.500 0.500 0.000
Ga10 0.000 0.000 0.000
Ga11 0.476 0.976 0.855
Ga12 0.750 0.750 0.000
Ga13 0.250 0.250 0.000
Ga14 0.616 0.884 0.500
Ga15 0.524 0.024 0.145
Ga16 0.024 0.880 0.500

Q: mass density of number 8 (Er3Ga2)?
A: 8.73 g/cm³